The following is a PBE calculation of Nb3Ni3C after structural relaxation, from Materials Project.

abc: 11.3991 11.3991 11.3991
angles: 90.00 90.00 90.00
Space group Fd-3m (No. 227, origin choice 2)
Symmetry-distinct sites (fractional):
Nb1 0.0706 0.3750 0.3750 x48
Ni1 0.0000 0.0000 0.5000 x16
Ni2 0.0448 0.0448 0.7052 x32
C1 0.0000 0.0000 0.0000 x16

## Properties
- E_form (eV/f.u.) = -2.1
- total moment (μB per cell) = 0.16
- volume (Å³/atom) = 13.22
- DFT total energy (eV/atom) = -8.42



The following is a PBE calculation of Nb6V3Ni3C2 after structural relaxation, from Materials Project.

abc: 8.1708 8.1945 11.6037
angles: 90.00 90.00 90.00
Space group Imm2 (No. 44)
Symmetry-distinct sites (fractional):
Nb1 0.0000 0.0000 0.0000 x2
Nb2 0.0000 0.0000 0.3778 x2
Nb3 0.0000 0.5000 0.1296 x2
Nb4 0.0000 0.5000 0.7498 x2
Nb5 0.1910 0.1896 0.1844 x8
Nb6 0.1908 0.3107 0.9346 x8
V1 0.0000 0.2522 0.5663 x4
V2 0.0000 0.3379 0.3551 x4
V3 0.2422 0.0000 0.8123 x4
Ni1 0.0000 0.1548 0.7617 x4
Ni2 0.1538 0.5000 0.5141 x4
Ni3 0.1576 0.0000 0.6070 x4
C1 0.0000 0.2494 0.0606 x4
C2 0.2486 0.0000 0.3093 x4

## Properties
- E_form (eV/f.u.) = -4.5
- total moment (μB per cell) = 0.00
- volume (Å³/atom) = 13.87
- DFT total energy (eV/atom) = -9.16



The following is a PBE calculation of NbRu3C after structural relaxation, from Materials Project.

abc: 4.0651 4.0651 4.0651
angles: 90.00 90.00 90.00
Space group Pm-3m (No. 221)
Symmetry-distinct sites (fractional):
Nb1 0.0000 0.0000 0.0000 x1
Ru1 0.0000 0.5000 0.5000 x3
C1 0.5000 0.5000 0.5000 x1

## Properties
- E_form (eV/f.u.) = -0.1
- total moment (μB per cell) = 0.01
- volume (Å³/atom) = 13.44
- DFT total energy (eV/atom) = -9.46



The following is a PBE calculation of Nb4SiC3 after structural relaxation, from Materials Project.

abc: 3.2060 3.2060 23.0049
angles: 90.00 90.00 120.00
Space group P6_3/mmc (No. 194)
Symmetry-distinct sites (fractional):
Nb1 0.0000 0.0000 0.1652 x4
Nb2 0.3333 0.6667 0.0577 x4
Si1 0.3333 0.6667 0.2500 x2
C1 0.0000 0.0000 0.0000 x2
C2 0.3333 0.6667 0.6135 x4

## Properties
- E_form (eV/f.u.) = -4.0
- total moment (μB per cell) = 0.00
- volume (Å³/atom) = 12.80
- DFT total energy (eV/atom) = -9.69



The following is a PBE calculation of Nb2SnC after structural relaxation, from Materials Project.

abc: 3.2813 3.2813 13.8713
angles: 90.00 90.00 120.00
Space group P6_3/mmc (No. 194)
Symmetry-distinct sites (fractional):
Nb1 0.3333 0.6667 0.0827 x4
Sn1 0.3333 0.6667 0.7500 x2
C1 0.0000 0.0000 0.0000 x2

## Properties
- E_form (eV/f.u.) = -1.7
- volume (Å³/atom) = 16.17
- DFT total energy (eV/atom) = -8.77



The following is a PBE calculation of TaNbC2 after structural relaxation, from Materials Project.

abc: 3.1782 3.1782 15.5936
angles: 90.00 90.00 120.00
Space group R-3m (No. 166, hexagonal axes)
Symmetry-distinct sites (fractional):
Ta1 0.0000 0.0000 0.0000 x3
Nb1 0.0000 0.0000 0.5000 x3
C1 0.0000 0.0000 0.2515 x6

## Properties
- E_form (eV/f.u.) = -2.1
- volume (Å³/atom) = 11.37
- DFT total energy (eV/atom) = -10.62



The following is a PBE calculation of Ta2Ti2NbC5 after structural relaxation, from Materials Project.

abc: 3.1390 3.1390 38.2658
angles: 90.00 90.00 120.00
Space group R3m (No. 160, hexagonal axes)
Symmetry-distinct sites (fractional):
Ta1 0.0000 0.0000 0.0000 x3
Ta2 0.0000 0.0000 0.4016 x3
Ti1 0.0000 0.0000 0.1988 x3
Ti2 0.0000 0.0000 0.8013 x3
Nb1 0.0000 0.0000 0.5984 x3
C1 0.0000 0.0000 0.1015 x3
C2 0.0000 0.0000 0.3001 x3
C3 0.0000 0.0000 0.4998 x3
C4 0.0000 0.0000 0.7007 x3
C5 0.0000 0.0000 0.8980 x3

## Properties
- E_form (eV/f.u.) = -6.6
- total moment (μB per cell) = 0.05
- volume (Å³/atom) = 10.88
- DFT total energy (eV/atom) = -10.24



The following is a PBE calculation of UNbC2 after structural relaxation, from Materials Project.

abc: 3.2796 3.2796 16.7986
angles: 90.00 90.00 120.00
Space group R-3m (No. 166, hexagonal axes)
Symmetry-distinct sites (fractional):
U1 0.0000 0.0000 0.0000 x3
Nb1 0.0000 0.0000 0.5000 x3
C1 0.0000 0.0000 0.2435 x6

## Properties
- E_form (eV/f.u.) = -1.6
- volume (Å³/atom) = 13.04
- DFT total energy (eV/atom) = -10.37



The following is a PBE calculation of NbVC2 after structural relaxation, from Materials Project.

abc: 3.0865 3.0865 15.0225
angles: 90.00 90.00 120.00
Space group R-3m (No. 166, hexagonal axes)
Symmetry-distinct sites (fractional):
Nb1 0.0000 0.0000 0.0000 x3
V1 0.0000 0.0000 0.5000 x3
C1 0.0000 0.0000 0.2444 x6

## Properties
- E_form (eV/f.u.) = -1.5
- total moment (μB per cell) = 0.00
- volume (Å³/atom) = 10.33
- DFT total energy (eV/atom) = -9.80



The following is a PBE calculation of Nb4WC5 after structural relaxation, from Materials Project.

abc: 3.1614 3.1614 38.8326
angles: 90.00 90.00 120.00
Space group R-3m (No. 166, hexagonal axes)
Symmetry-distinct sites (fractional):
Nb1 0.0000 0.0000 0.1006 x6
Nb2 0.0000 0.0000 0.2998 x6
W1 0.0000 0.0000 0.5000 x3
C1 0.0000 0.0000 0.0000 x3
C2 0.0000 0.0000 0.1983 x6
C3 0.0000 0.0000 0.4006 x6

## Properties
- E_form (eV/f.u.) = -3.1
- total moment (μB per cell) = 0.00
- volume (Å³/atom) = 11.20
- DFT total energy (eV/atom) = -10.27



The following is a PBE calculation of ZrNbC2 after structural relaxation, from Materials Project.

abc: 3.2516 3.2516 16.0036
angles: 90.00 90.00 120.00
Space group R-3m (No. 166, hexagonal axes)
Symmetry-distinct sites (fractional):
Zr1 0.0000 0.0000 0.0000 x3
Nb1 0.0000 0.0000 0.5000 x3
C1 0.0000 0.0000 0.2462 x6

## Properties
- E_form (eV/f.u.) = -2.6
- volume (Å³/atom) = 12.21
- DFT total energy (eV/atom) = -9.94



The following is a PBE calculation of Nd2C3 after structural relaxation, from Materials Project.

abc: 8.6168 8.6168 8.6168
angles: 90.00 90.00 90.00
Space group I-43d (No. 220)
Symmetry-distinct sites (fractional):
Nd1 0.0517 0.4483 0.5517 x16
C1 0.0000 0.2500 0.7978 x24

## Properties
- E_form (eV/f.u.) = -0.8
- volume (Å³/atom) = 15.99
- DFT total energy (eV/atom) = -7.61



The following is a PBE calculation of NdC2 after structural relaxation, from Materials Project.

abc: 3.8424 3.8424 6.4697
angles: 90.00 90.00 90.00
Space group I4/mmm (No. 139)
Symmetry-distinct sites (fractional):
Nd1 0.0000 0.0000 0.0000 x2
C1 0.0000 0.0000 0.3997 x4

## Properties
- E_form (eV/f.u.) = -0.4
- volume (Å³/atom) = 15.92
- DFT total energy (eV/atom) = -7.86



The following is a PBE calculation of NdNiC2 after structural relaxation, from Materials Project.

abc: 3.8403 4.5480 6.1044
angles: 90.00 90.00 90.00
Space group Amm2 (No. 38)
Symmetry-distinct sites (fractional):
Nd1 0.0000 0.0000 0.0000 x2
Ni1 0.5000 0.0000 0.3870 x2
C1 0.5000 0.1501 0.6986 x4

## Properties
- E_form (eV/f.u.) = -1.0
- volume (Å³/atom) = 13.33
- DFT total energy (eV/atom) = -7.51



The following is a PBE calculation of NdCO4 after structural relaxation, from Materials Project.

abc: 6.5206 4.8281 10.6973
angles: 90.00 90.00 90.00
Space group Pnma (No. 62)
Symmetry-distinct sites (fractional):
Nd1 0.1808 0.2500 0.1063 x4
C1 0.2269 0.2500 0.3929 x4
O1 0.0487 0.2500 0.3391 x4
O2 0.1747 0.5208 0.9123 x8
O3 0.2348 0.7500 0.1380 x4

## Properties
- E_form (eV/f.u.) = -13.9
- total moment (μB per cell) = 4.00
- volume (Å³/atom) = 14.03
- DFT total energy (eV/atom) = -7.49



The following is a PBE calculation of NdCO4 after structural relaxation, from Materials Project.

abc: 12.5417 12.5417 9.8911
angles: 90.00 90.00 120.00
Space group P-6 (No. 174)
Symmetry-distinct sites (fractional):
Nd1 0.2120 0.4367 0.2433 x6
Nd2 0.2287 0.1183 0.2437 x6
Nd3 0.5490 0.4452 0.2598 x6
C1 0.0210 0.1962 0.5000 x3
C2 0.0886 0.2033 0.0000 x3
C3 0.1294 0.5576 0.0000 x3
C4 0.1336 0.4955 0.5000 x3
C5 0.4644 0.2440 0.5000 x3
C6 0.4641 0.3117 0.0000 x3
O1 0.0000 0.0000 0.2539 x2
O2 0.0096 0.6737 0.3063 x6
O3 0.0699 0.2443 0.3851 x6
O4 0.0837 0.4950 0.3858 x6
O5 0.0891 0.8526 0.1139 x6
O6 0.1023 0.5882 0.1145 x6
O7 0.1673 0.0303 0.0000 x3
O8 0.1801 0.0856 0.5000 x3
O9 0.1859 0.4941 0.0000 x3
O10 0.2354 0.4925 0.5000 x3
O11 0.3333 0.6667 0.2582 x2
O12 0.3409 0.0114 0.1917 x6
O13 0.4145 0.2624 0.1141 x6
O14 0.4342 0.1865 0.3854 x6
O15 0.5272 0.3637 0.5000 x3
O16 0.5670 0.4164 0.0000 x3
O17 0.6667 0.3333 0.2395 x2

## Properties
- E_form (eV/f.u.) = -15.1
- total moment (μB per cell) = 18.01
- volume (Å³/atom) = 12.48
- DFT total energy (eV/atom) = -7.68